DFT (GGA-PBE) results for CeZn11 after structural relaxation.

a b c (Å): 8.263 8.263 8.263
angles (deg): 100.17 100.17 130.31
Sites, in units of the cell vectors:
1 Ce 0.000 0.000 0.000
2 Ce 0.250 0.750 0.500
3 Zn 0.756 0.170 0.827
4 Zn 0.625 0.875 0.250
5 Zn 0.071 0.244 0.414
6 Zn 0.343 0.170 0.414
7 Zn 0.071 0.657 0.827
8 Zn 0.907 0.580 0.086
9 Zn 0.343 0.929 0.173
10 Zn 0.750 0.250 0.500
11 Zn 0.907 0.821 0.327
12 Zn 0.500 0.500 0.000
13 Zn 0.420 0.093 0.914
14 Zn 0.625 0.375 0.250
15 Zn 0.494 0.580 0.673
16 Zn 0.179 0.093 0.673
17 Zn 0.756 0.929 0.586
18 Zn 0.830 0.657 0.586
19 Zn 0.420 0.506 0.327
20 Zn 0.494 0.821 0.914
21 Zn 0.179 0.506 0.086
22 Zn 0.830 0.244 0.173
23 Zn 0.125 0.375 0.750
24 Zn 0.625 0.375 0.750

Properties
Electronic total energy   -44.34 eV for the cell shown
Space-group type   I4_1/amd (141)
Mass density   7.314 Mg/m³


DFT (GGA-PBE) results for Ce2Zn17 after structural relaxation.

a b c (Å): 8.987 8.987 8.808
angles (deg): 90.00 90.00 120.00
Sites, in units of the cell vectors:
1 Ce 0.333 0.667 0.750
2 Ce 0.667 0.333 0.250
3 Ce 0.000 0.000 0.250
4 Ce 0.000 0.000 0.750
5 Zn 0.330 0.960 0.250
6 Zn 0.670 0.040 0.750
7 Zn 0.040 0.370 0.250
8 Zn 0.630 0.670 0.250
9 Zn 0.370 0.330 0.750
10 Zn 0.960 0.630 0.750
11 Zn 0.370 0.040 0.750
12 Zn 0.670 0.630 0.750
13 Zn 0.960 0.330 0.750
14 Zn 0.040 0.670 0.250
15 Zn 0.330 0.370 0.250
16 Zn 0.630 0.960 0.250
17 Zn 0.500 0.000 0.000
18 Zn 0.500 0.000 0.500
19 Zn 0.000 0.500 0.000
20 Zn 0.500 0.500 0.000
21 Zn 0.500 0.500 0.500
22 Zn 0.000 0.500 0.500
23 Zn 0.333 0.667 0.101
24 Zn 0.667 0.333 0.601
25 Zn 0.667 0.333 0.899
26 Zn 0.333 0.667 0.399
27 Zn 0.162 0.324 0.978
28 Zn 0.838 0.676 0.478
29 Zn 0.676 0.838 0.978
30 Zn 0.162 0.838 0.978
31 Zn 0.838 0.162 0.478
32 Zn 0.324 0.162 0.478
33 Zn 0.838 0.676 0.022
34 Zn 0.838 0.162 0.022
35 Zn 0.324 0.162 0.022
36 Zn 0.676 0.838 0.522
37 Zn 0.162 0.838 0.522
38 Zn 0.162 0.324 0.522

Properties
Size of the total moment   1.43 μB per formula unit
Electronic total energy   -75.40 eV for the cell shown
Space-group type   P6_3/mmc (194)
Mass density   7.505 Mg/m³


DFT (GGA-PBE) results for Ce3Zn11 after structural relaxation.

a b c (Å): 4.465 8.274 8.274
angles (deg): 106.81 105.65 105.65
Sites, in units of the cell vectors:
1 Ce 0.000 0.000 0.000
2 Ce 0.000 0.705 0.295
3 Ce 0.000 0.295 0.705
4 Zn 0.359 0.703 0.015
5 Zn 0.283 0.423 0.143
6 Zn 0.641 0.985 0.297
7 Zn 0.817 0.317 0.317
8 Zn 0.283 0.143 0.423
9 Zn 0.500 0.500 0.500
10 Zn 0.717 0.857 0.577
11 Zn 0.183 0.683 0.683
12 Zn 0.359 0.015 0.703
13 Zn 0.717 0.577 0.857
14 Zn 0.641 0.297 0.985

Properties
Electronic total energy   -35.72 eV for the cell shown
Space-group type   Immm (71)
Mass density   7.253 Mg/m³


DFT (GGA-PBE) results for CeZn2 after structural relaxation.

a b c (Å): 5.729 5.729 5.729
angles (deg): 132.52 106.06 92.72
Sites, in units of the cell vectors:
1 Ce 0.266 0.516 0.750
2 Ce 0.734 0.484 0.250
3 Zn 0.130 0.166 0.965
4 Zn 0.870 0.834 0.035
5 Zn 0.299 0.834 0.465
6 Zn 0.701 0.166 0.535

Properties
Electronic total energy   -18.68 eV for the cell shown
Space-group type   Imma (74)
Mass density   7.159 Mg/m³


DFT (GGA-PBE) results for Ce2Zn17 after structural relaxation.

a b c (Å): 6.848 6.848 6.848
angles (deg): 82.71 82.71 82.71
Sites, in units of the cell vectors:
1 Ce 0.337 0.337 0.337
2 Ce 0.663 0.663 0.663
3 Zn 0.100 0.100 0.100
4 Zn 0.900 0.900 0.900
5 Zn 0.000 0.000 0.500
6 Zn 0.000 0.500 0.000
7 Zn 0.500 0.000 0.000
8 Zn 0.294 0.706 0.000
9 Zn 0.706 0.000 0.294
10 Zn 0.000 0.294 0.706
11 Zn 0.706 0.294 0.000
12 Zn 0.294 0.000 0.706
13 Zn 0.000 0.706 0.294
14 Zn 0.161 0.649 0.649
15 Zn 0.649 0.649 0.161
16 Zn 0.649 0.161 0.649
17 Zn 0.351 0.839 0.351
18 Zn 0.839 0.351 0.351
19 Zn 0.351 0.351 0.839

Properties
Electronic total energy   -37.87 eV for the cell shown
Space-group type   R-3m (166)
Mass density   7.364 Mg/m³


DFT (GGA-PBE) results for CeZn2 after structural relaxation.

a b c (Å): 5.712 5.712 5.712
angles (deg): 132.74 100.86 97.64
Sites, in units of the cell vectors:
1 Ce 0.714 0.464 0.250
2 Ce 0.286 0.536 0.750
3 Zn 0.894 0.836 0.057
4 Zn 0.106 0.164 0.943
5 Zn 0.721 0.164 0.557
6 Zn 0.279 0.836 0.443

Properties
Electronic total energy   -18.65 eV for the cell shown
Space-group type   Imma (74)
Mass density   7.181 Mg/m³